The following is a DFT calculation (PBE-GGA) of KMg6Sb after structural relaxation.

formation energy from the elements = 0.0495 eV per atom
polymorph energy (0 for the lowest one) = 14 meV per atom
space group = No. 38

```
data_KMg6Sb
_symmetry_space_group_name_H-M 'P 1'
_symmetry_Int_Tables_number 1
_symmetry_space_group_name_Hall 'P 1'
_cell_length_a 6.8172
_cell_length_b 6.8172
_cell_length_c 5.2689
_cell_angle_alpha 90.00
_cell_angle_beta 90.00
_cell_angle_gamma 121.88
loop_
_atom_site_label
_atom_site_type_symbol
_atom_site_fract_x
_atom_site_fract_y
_atom_site_fract_z
_atom_site_occupancy
K1 K 0.8327 0.1673 0.5000 1
Mg1 Mg 0.3352 0.1686 0.5000 1
Mg2 Mg 0.8314 0.6648 0.5000 1
Mg3 Mg 0.1752 0.3356 0.0000 1
Mg4 Mg 0.6644 0.8248 0.0000 1
Mg5 Mg 0.6611 0.3389 0.0000 1
Mg6 Mg 0.1645 0.8355 0.0000 1
Sb1 Sb 0.3355 0.6645 0.5000 1
```

The following is a DFT calculation (PBE-GGA) of Ce2Si3Rh after structural relaxation.

formation energy from the elements = -0.8881 eV per atom
polymorph energy (0 for the lowest one) = 4 meV per atom
space group = No. 194

```
data_Ce2Si3Rh
_symmetry_space_group_name_H-M 'P 1'
_symmetry_Int_Tables_number 1
_symmetry_space_group_name_Hall 'P 1'
_cell_length_a 8.2238
_cell_length_b 8.2238
_cell_length_c 8.1840
_cell_angle_alpha 90.00
_cell_angle_beta 90.00
_cell_angle_gamma 120.00
loop_
_atom_site_label
_atom_site_type_symbol
_atom_site_fract_x
_atom_site_fract_y
_atom_site_fract_z
_atom_site_occupancy
Ce1 Ce 0.0000 0.0000 0.2500 1
Ce2 Ce 0.0000 0.0000 0.7500 1
Ce3 Ce 0.5044 0.4956 0.2500 1
Ce4 Ce 0.5044 0.0089 0.2500 1
Ce5 Ce 0.9911 0.4956 0.2500 1
Ce6 Ce 0.4956 0.5044 0.7500 1
Ce7 Ce 0.4956 0.9911 0.7500 1
Ce8 Ce 0.0089 0.5044 0.7500 1
Si1 Si 0.1655 0.8345 0.5008 1
Si2 Si 0.1655 0.3310 0.5008 1
Si3 Si 0.6690 0.8345 0.5008 1
Si4 Si 0.8345 0.1655 0.4992 1
Si5 Si 0.8345 0.6690 0.4992 1
Si6 Si 0.3310 0.1655 0.4992 1
Si7 Si 0.8345 0.1655 0.0008 1
Si8 Si 0.8345 0.6690 0.0008 1
Si9 Si 0.3310 0.1655 0.0008 1
Si10 Si 0.1655 0.8345 0.9992 1
Si11 Si 0.1655 0.3310 0.9992 1
Si12 Si 0.6690 0.8345 0.9992 1
Rh1 Rh 0.3333 0.6667 0.4748 1
Rh2 Rh 0.6667 0.3333 0.5252 1
Rh3 Rh 0.6667 0.3333 0.9748 1
Rh4 Rh 0.3333 0.6667 0.0252 1
```

The following is a DFT calculation (PBE-GGA) of Ce2Pd3Rh3 after structural relaxation.

formation energy from the elements = -0.7096 eV per atom
space group = No. 47

```
data_Ce2Pd3Rh3
_symmetry_space_group_name_H-M 'P 1'
_symmetry_Int_Tables_number 1
_symmetry_space_group_name_Hall 'P 1'
_cell_length_a 4.1174
_cell_length_b 4.2110
_cell_length_c 8.1002
_cell_angle_alpha 90.00
_cell_angle_beta 90.00
_cell_angle_gamma 90.00
loop_
_atom_site_label
_atom_site_type_symbol
_atom_site_fract_x
_atom_site_fract_y
_atom_site_fract_z
_atom_site_occupancy
Ce1 Ce 0.0000 0.0000 0.2447 1
Ce2 Ce 0.0000 0.0000 0.7553 1
Pd1 Pd 0.5000 0.5000 0.2503 1
Pd2 Pd 0.5000 0.5000 0.7497 1
Pd3 Pd 0.0000 0.5000 0.5000 1
Rh1 Rh 0.0000 0.5000 0.0000 1
Rh2 Rh 0.5000 0.0000 0.5000 1
Rh3 Rh 0.5000 0.0000 0.0000 1
```

The following is a DFT calculation (PBE-GGA) of K3Os after structural relaxation.

formation energy from the elements = 1.3476 eV per atom
space group = No. 139

```
data_K3Os
_symmetry_space_group_name_H-M 'P 1'
_symmetry_Int_Tables_number 1
_symmetry_space_group_name_Hall 'P 1'
_cell_length_a 5.8127
_cell_length_b 5.8127
_cell_length_c 5.8127
_cell_angle_alpha 118.25
_cell_angle_beta 118.25
_cell_angle_gamma 93.06
loop_
_atom_site_label
_atom_site_type_symbol
_atom_site_fract_x
_atom_site_fract_y
_atom_site_fract_z
_atom_site_occupancy
K1 K 0.7500 0.2500 0.5000 1
K2 K 0.2500 0.7500 0.5000 1
K3 K 0.5000 0.5000 0.0000 1
Os1 Os 0.0000 0.0000 0.0000 1
```

The following is a DFT calculation (PBE-GGA) of Zn2MoN3 after structural relaxation.

formation energy from the elements = -0.2742 eV per atom
polymorph energy (0 for the lowest one) = 38 meV per atom
space group = No. 36

```
data_Zn2MoN3
_symmetry_space_group_name_H-M 'P 1'
_symmetry_Int_Tables_number 1
_symmetry_space_group_name_Hall 'P 1'
_cell_length_a 5.7254
_cell_length_b 5.7254
_cell_length_c 5.3565
_cell_angle_alpha 90.00
_cell_angle_beta 90.00
_cell_angle_gamma 120.17
loop_
_atom_site_label
_atom_site_type_symbol
_atom_site_fract_x
_atom_site_fract_y
_atom_site_fract_z
_atom_site_occupancy
Zn1 Zn 0.5157 0.1805 0.5271 1
Zn2 Zn 0.1805 0.5157 0.5271 1
Zn3 Zn 0.4843 0.8195 0.0271 1
Zn4 Zn 0.8195 0.4843 0.0271 1
Mo1 Mo 0.1559 0.1559 0.0421 1
Mo2 Mo 0.8441 0.8441 0.5421 1
N1 N 0.4701 0.1514 0.1437 1
N2 N 0.1514 0.4701 0.1437 1
N3 N 0.5299 0.8486 0.6437 1
N4 N 0.8486 0.5299 0.6437 1
N5 N 0.1723 0.1723 0.6718 1
N6 N 0.8277 0.8277 0.1718 1
```

The following is a DFT calculation (PBE-GGA) of Li3LaSb2 after structural relaxation.

formation energy from the elements = -0.9439 eV per atom
space group = No. 164

```
data_Li3LaSb2
_symmetry_space_group_name_H-M 'P 1'
_symmetry_Int_Tables_number 1
_symmetry_space_group_name_Hall 'P 1'
_cell_length_a 4.6464
_cell_length_b 4.6464
_cell_length_c 7.4543
_cell_angle_alpha 90.00
_cell_angle_beta 90.00
_cell_angle_gamma 120.00
loop_
_atom_site_label
_atom_site_type_symbol
_atom_site_fract_x
_atom_site_fract_y
_atom_site_fract_z
_atom_site_occupancy
Li1 Li 0.0000 0.0000 0.5000 1
Li2 Li 0.6667 0.3333 0.3570 1
Li3 Li 0.3333 0.6667 0.6430 1
La1 La 0.0000 0.0000 0.0000 1
Sb1 Sb 0.3333 0.6667 0.2576 1
Sb2 Sb 0.6667 0.3333 0.7423 1
```

The following is a DFT calculation (PBE-GGA) of NbTe4Ir after structural relaxation.

formation energy from the elements = -0.4037 eV per atom
space group = No. 31

```
data_NbTe4Ir
_symmetry_space_group_name_H-M 'P 1'
_symmetry_Int_Tables_number 1
_symmetry_space_group_name_Hall 'P 1'
_cell_length_a 3.8246
_cell_length_b 12.7282
_cell_length_c 13.6200
_cell_angle_alpha 90.00
_cell_angle_beta 90.00
_cell_angle_gamma 90.00
loop_
_atom_site_label
_atom_site_type_symbol
_atom_site_fract_x
_atom_site_fract_y
_atom_site_fract_z
_atom_site_occupancy
Nb1 Nb 0.0000 0.0560 0.0046 1
Nb2 Nb 0.5000 0.9440 0.5046 1
Nb3 Nb 0.0000 0.2701 0.4918 1
Nb4 Nb 0.5000 0.7299 0.9918 1
Te1 Te 0.0000 0.0656 0.3949 1
Te2 Te 0.5000 0.9344 0.8949 1
Te3 Te 0.0000 0.1948 0.8575 1
Te4 Te 0.5000 0.8052 0.3575 1
Te5 Te 0.0000 0.3468 0.0929 1
Te6 Te 0.5000 0.6532 0.5929 1
Te7 Te 0.0000 0.4134 0.6349 1
Te8 Te 0.5000 0.5866 0.1349 1
Te9 Te 0.0000 0.5634 0.3989 1
Te10 Te 0.5000 0.4366 0.8989 1
Te11 Te 0.0000 0.6764 0.8512 1
Te12 Te 0.5000 0.3236 0.3512 1
Te13 Te 0.0000 0.8509 0.1039 1
Te14 Te 0.5000 0.1491 0.6039 1
Te15 Te 0.0000 0.8899 0.6449 1
Te16 Te 0.5000 0.1101 0.1449 1
Ir1 Ir 0.0000 0.5356 0.0001 1
Ir2 Ir 0.5000 0.4644 0.5001 1
Ir3 Ir 0.0000 0.7522 0.4924 1
Ir4 Ir 0.5000 0.2478 0.9924 1
```

The following is a DFT calculation (PBE-GGA) of HoCr2Si2 after structural relaxation.

formation energy from the elements = -0.4006 eV per atom
space group = No. 139

```
data_HoCr2Si2
_symmetry_space_group_name_H-M 'P 1'
_symmetry_Int_Tables_number 1
_symmetry_space_group_name_Hall 'P 1'
_cell_length_a 5.9961
_cell_length_b 5.9961
_cell_length_c 5.9961
_cell_angle_alpha 142.59
_cell_angle_beta 142.59
_cell_angle_gamma 53.94
loop_
_atom_site_label
_atom_site_type_symbol
_atom_site_fract_x
_atom_site_fract_y
_atom_site_fract_z
_atom_site_occupancy
Ho1 Ho 0.0000 0.0000 0.0000 1
Cr1 Cr 0.7500 0.2500 0.5000 1
Cr2 Cr 0.2500 0.7500 0.5000 1
Si1 Si 0.6149 0.6149 0.0000 1
Si2 Si 0.3851 0.3851 0.0000 1
```